Record 1
Here is Tm2Fe3Si5 after structural relaxation from the Materials Project. Energies are from PBE-GGA.

Results
Formation energy (meV/atom): -662
Symmetry: P4/mnc (128)

a b c (Å): 10.3107 10.3107 5.4232
angles (deg): 90.00 90.00 90.00
Last column: nearest neighbours and their distance in Å.
Fractional coordinates of all 40 atoms:
Tm (0.0699, 0.2365, 0.0000)  9 Si 2.73-3.02, 2 Fe 3.05
Tm (0.2365, 0.9301, 0.0000)  9 Si 2.73-3.02, 2 Fe 3.05
Tm (0.2635, 0.4301, 0.5000)  9 Si 2.73-3.02, 2 Fe 3.05
Tm (0.4301, 0.7365, 0.5000)  9 Si 2.73-3.02, 2 Fe 3.05
Tm (0.5699, 0.2635, 0.5000)  9 Si 2.73-3.02, 2 Fe 3.05
Tm (0.7365, 0.5699, 0.5000)  9 Si 2.73-3.02, 2 Fe 3.05
Tm (0.7635, 0.0699, 0.0000)  9 Si 2.73-3.02, 2 Fe 3.05
Tm (0.9301, 0.7635, 0.0000)  9 Si 2.73-3.02, 2 Fe 3.05
Fe (0.0000, 0.5000, 0.2500)  6 Si 2.32-2.59
Fe (0.0000, 0.5000, 0.7500)  6 Si 2.32-2.59
Fe (0.1230, 0.8557, 0.5000)  6 Si 2.34-2.38
Fe (0.1443, 0.1230, 0.5000)  6 Si 2.34-2.38
Fe (0.3557, 0.6230, 0.0000)  6 Si 2.34-2.38
Fe (0.3770, 0.3557, 0.0000)  6 Si 2.34-2.38
Fe (0.5000, 0.0000, 0.2500)  6 Si 2.32-2.59
Fe (0.5000, 0.0000, 0.7500)  6 Si 2.32-2.59
Fe (0.6230, 0.6443, 0.0000)  6 Si 2.34-2.38
Fe (0.6443, 0.3770, 0.0000)  6 Si 2.34-2.38
Fe (0.8557, 0.8770, 0.5000)  6 Si 2.34-2.38
Fe (0.8770, 0.1443, 0.5000)  6 Si 2.34-2.38
Si (0.0000, 0.0000, 0.2619)  4 Fe 2.34, 1 Si 2.58
Si (0.0000, 0.0000, 0.7381)  4 Fe 2.34, 1 Si 2.58
Si (0.0234, 0.3193, 0.5000)  4 Fe 2.32-2.38, 2 Si 2.48
Si (0.1774, 0.6774, 0.2500)  3 Fe 2.35-2.59, 2 Si 2.48
Si (0.1774, 0.6774, 0.7500)  3 Fe 2.35-2.59, 2 Si 2.48
Si (0.1807, 0.4766, 0.0000)  4 Fe 2.32-2.38, 2 Si 2.48
Si (0.3193, 0.9766, 0.5000)  4 Fe 2.32-2.38, 2 Si 2.48
Si (0.3226, 0.1774, 0.2500)  3 Fe 2.35-2.59, 2 Si 2.48
Si (0.3226, 0.1774, 0.7500)  3 Fe 2.35-2.59, 2 Si 2.48
Si (0.4766, 0.8193, 0.0000)  4 Fe 2.32-2.38, 2 Si 2.48
Si (0.5000, 0.5000, 0.2381)  4 Fe 2.34, 1 Si 2.58
Si (0.5000, 0.5000, 0.7619)  4 Fe 2.34, 1 Si 2.58
Si (0.5234, 0.1807, 0.0000)  4 Fe 2.32-2.38, 2 Si 2.48
Si (0.6774, 0.8226, 0.2500)  3 Fe 2.35-2.59, 2 Si 2.48
Si (0.6774, 0.8226, 0.7500)  3 Fe 2.35-2.59, 2 Si 2.48
Si (0.6807, 0.0234, 0.5000)  4 Fe 2.32-2.38, 2 Si 2.48
Si (0.8193, 0.5234, 0.0000)  4 Fe 2.32-2.38, 2 Si 2.48
Si (0.8226, 0.3226, 0.2500)  3 Fe 2.35-2.59, 2 Si 2.48
Si (0.8226, 0.3226, 0.7500)  3 Fe 2.35-2.59, 2 Si 2.48
Si (0.9766, 0.6807, 0.5000)  4 Fe 2.32-2.38, 2 Si 2.48



Record 2
Here is Tm3Fe2Si3 after structural relaxation from the Materials Project. Energies are from PBE-GGA.

Results
Formation energy (meV/atom): -668
Symmetry: Cmcm (63)

a b c (Å): 5.5727 5.5727 13.4461
angles (deg): 90.00 90.00 137.37
Last column: nearest neighbours and their distance in Å.
Fractional coordinates of all 16 atoms:
Tm (0.0790, 0.9210, 0.6124)  7 Si 2.91-3.24, 4 Fe 2.96-3.08
Tm (0.0790, 0.9210, 0.8876)  7 Si 2.91-3.24, 4 Fe 2.96-3.08
Tm (0.3625, 0.6375, 0.7500)  4 Si 2.83, 4 Fe 3.15
Tm (0.6375, 0.3625, 0.2500)  4 Si 2.83, 4 Fe 3.15
Tm (0.9210, 0.0790, 0.1124)  7 Si 2.91-3.24, 4 Fe 2.96-3.08
Tm (0.9210, 0.0790, 0.3876)  7 Si 2.91-3.24, 4 Fe 2.96-3.08
Fe (0.2143, 0.7857, 0.0810)  4 Si 2.30-2.56
Fe (0.2143, 0.7857, 0.4190)  4 Si 2.30-2.56
Fe (0.7857, 0.2143, 0.5810)  4 Si 2.30-2.56
Fe (0.7857, 0.2143, 0.9190)  4 Si 2.30-2.56
Si (0.3275, 0.6725, 0.2500)  2 Fe 2.56, 2 Tm 2.83
Si (0.3761, 0.6239, 0.5396)  3 Fe 2.30-2.33
Si (0.3761, 0.6239, 0.9604)  3 Fe 2.30-2.33
Si (0.6239, 0.3761, 0.0396)  3 Fe 2.30-2.33
Si (0.6239, 0.3761, 0.4604)  3 Fe 2.30-2.33
Si (0.6725, 0.3275, 0.7500)  2 Fe 2.56, 2 Tm 2.83



Record 3
Here is Tm2FeSi4 after structural relaxation from the Materials Project. Energies are from PBE-GGA.

Results
Formation energy (meV/atom): -564
Symmetry: Amm2 (38)

a b c (Å): 3.9586 7.7230 7.7230
angles (deg): 30.52 90.00 90.00
Last column: nearest neighbours and their distance in Å.
Fractional coordinates of all 7 atoms:
Tm (0.0000, 0.0000, 0.0000)  10 Si 2.87-2.97, 1 Fe 3.04
Tm (0.5000, 0.2026, 0.2026)  10 Si 2.96-3.18, 4 Fe 3.16
Fe (0.0000, 0.7963, 0.7963)  5 Si 2.20-2.24
Si (0.0000, 0.3596, 0.3596)  2 Fe 2.24
Si (0.0000, 0.6457, 0.6457)  1 Fe 2.24
Si (0.5000, 0.5381, 0.5381)  2 Si 2.55
Si (0.5000, 0.8603, 0.8603)  2 Fe 2.20



Record 4
Here is Tm2FeSi2 after structural relaxation from the Materials Project. Energies are from PBE-GGA.

Results
Formation energy (meV/atom): -698
Symmetry: C2/m (12)

a b c (Å): 5.5426 5.5426 9.8080
angles (deg): 116.66 116.66 43.49
Last column: nearest neighbours and their distance in Å.
Fractional coordinates of all 10 atoms:
Tm (0.0006, 0.0006, 0.3286)  6 Si 2.85-3.06, 4 Fe 2.89-3.04
Tm (0.1879, 0.1879, 0.1090)  6 Si 2.81-3.11
Tm (0.8121, 0.8121, 0.8910)  6 Si 2.81-3.11
Tm (0.9994, 0.9994, 0.6714)  6 Si 2.85-3.06, 4 Fe 2.89-3.04
Fe (0.2708, 0.2708, 0.6247)  4 Si 2.32-2.46
Fe (0.7292, 0.7292, 0.3753)  4 Si 2.32-2.46
Si (0.3482, 0.3482, 0.4363)  3 Fe 2.32-2.34
Si (0.4975, 0.4975, 0.1261)  1 Fe 2.46, 1 Si 2.50
Si (0.5025, 0.5025, 0.8739)  1 Fe 2.46, 1 Si 2.50
Si (0.6518, 0.6518, 0.5637)  3 Fe 2.32-2.34



Record 5
Here is Tm3FeSi3 after structural relaxation from the Materials Project. Energies are from PBE-GGA.

Results
Formation energy (meV/atom): -723
Symmetry: C2/m (12)

a b c (Å): 5.5672 5.5672 13.3325
angles (deg): 109.50 109.50 43.40
Last column: nearest neighbours and their distance in Å.
Fractional coordinates of all 14 atoms:
Tm (0.0239, 0.0239, 0.3794)  6 Si 2.85-3.09, 4 Fe 2.91-3.07
Tm (0.1009, 0.1009, 0.9191)  7 Si 2.90-3.06
Tm (0.2486, 0.2486, 0.2298)  6 Si 2.82-3.11
Tm (0.7514, 0.7514, 0.7702)  6 Si 2.82-3.11
Tm (0.8991, 0.8991, 0.0809)  7 Si 2.90-3.06
Tm (0.9761, 0.9761, 0.6206)  6 Si 2.85-3.09, 4 Fe 2.91-3.07
Fe (0.2528, 0.2528, 0.5847)  4 Si 2.32-2.45
Fe (0.7472, 0.7472, 0.4153)  4 Si 2.32-2.45
Si (0.3572, 0.3572, 0.4567)  3 Fe 2.32-2.33
Si (0.3853, 0.3853, 0.9247)  2 Si 2.50-2.52
Si (0.4457, 0.4457, 0.7580)  1 Fe 2.45, 1 Si 2.52
Si (0.5543, 0.5543, 0.2420)  1 Fe 2.45, 1 Si 2.52
Si (0.6147, 0.6147, 0.0753)  2 Si 2.50-2.52
Si (0.6428, 0.6428, 0.5433)  3 Fe 2.32-2.33



Record 6
Here is TmFe2Si2 after structural relaxation from the Materials Project. Energies are from PBE-GGA.

Results
Formation energy (meV/atom): -651
Symmetry: I4/mmm (139)

a b c (Å): 5.4769 5.4769 5.4769
angles (deg): 137.76 137.76 61.27
Last column: nearest neighbours and their distance in Å.
Fractional coordinates of all 5 atoms:
Tm (0.0000, 0.0000, 0.0000)  8 Si 3.06, 8 Fe 3.07
Fe (0.2500, 0.7500, 0.5000)  4 Si 2.26
Fe (0.7500, 0.2500, 0.5000)  4 Si 2.26
Si (0.3666, 0.3666, 0.0000)  4 Fe 2.26, 1 Si 2.52
Si (0.6334, 0.6334, 0.0000)  4 Fe 2.26, 1 Si 2.52



Record 7
Here is UFeSi after structural relaxation from the Materials Project. Energies are from PBE-GGA.

Results
Formation energy (meV/atom): -434
Symmetry: Pnma (62)

a b c (Å): 7.2592 3.9926 6.3904
angles (deg): 90.00 90.00 90.00
Last column: nearest neighbours and their distance in Å.
Fractional coordinates of all 12 atoms:
U (0.0113, 0.2500, 0.1595)  4 Fe 2.73-2.99, 2 U 2.86, 5 Si 2.88-2.92
U (0.4887, 0.7500, 0.6595)  4 Fe 2.73-2.99, 2 U 2.86, 5 Si 2.88-2.92
U (0.5113, 0.2500, 0.3405)  4 Fe 2.73-2.99, 2 U 2.86, 5 Si 2.88-2.92
U (0.9887, 0.7500, 0.8405)  4 Fe 2.73-2.99, 2 U 2.86, 5 Si 2.88-2.92
Fe (0.1247, 0.7500, 0.4418)  4 Si 2.35-2.45
Fe (0.3753, 0.2500, 0.9418)  4 Si 2.35-2.45
Fe (0.6247, 0.7500, 0.0582)  4 Si 2.35-2.45
Fe (0.8753, 0.2500, 0.5582)  4 Si 2.35-2.45
Si (0.1981, 0.2500, 0.6162)  4 Fe 2.35-2.45
Si (0.3019, 0.7500, 0.1162)  4 Fe 2.35-2.45
Si (0.6981, 0.2500, 0.8838)  4 Fe 2.35-2.45
Si (0.8019, 0.7500, 0.3838)  4 Fe 2.35-2.45



Record 8
Here is UFe10Si2 after structural relaxation from the Materials Project. Energies are from PBE-GGA.

Results
Relative energy among the computed polymorphs (meV/atom): 0
Formation energy (meV/atom): -214
Symmetry: Immm (71)

a b c (Å): 6.3072 6.3072 6.3072
angles (deg): 135.95 99.35 96.82
Last column: nearest neighbours and their distance in Å.
Fractional coordinates of all 13 atoms:
U (0.0000, 0.0000, 0.0000)  16 Fe 2.85-3.15, 4 Si 3.09
Fe (0.0000, 0.0000, 0.5000)  2 Si 2.36, 8 Fe 2.37-2.54
Fe (0.0000, 0.5000, 0.0000)  2 Si 2.36, 8 Fe 2.37-2.54
Fe (0.1952, 0.5000, 0.6952)  6 Fe 2.45-2.68, 2 Si 2.55
Fe (0.3508, 0.0000, 0.3508)  7 Fe 2.44-2.68, 2 Si 2.51
Fe (0.3603, 0.3603, 0.0000)  5 Fe 2.34-2.53, 2 Si 2.58
Fe (0.5000, 0.0000, 0.0000)  2 Si 2.36, 8 Fe 2.37-2.54
Fe (0.5000, 0.5000, 0.5000)  2 Si 2.36, 8 Fe 2.37-2.54
Fe (0.6397, 0.6397, 0.0000)  5 Fe 2.34-2.53, 2 Si 2.58
Fe (0.6492, 0.0000, 0.6492)  7 Fe 2.44-2.68, 2 Si 2.51
Fe (0.8048, 0.5000, 0.3048)  6 Fe 2.45-2.68, 2 Si 2.55
Si (0.2381, 0.7381, 0.5000)  10 Fe 2.36-2.58
Si (0.7619, 0.2619, 0.5000)  10 Fe 2.36-2.58